La3As2ClO7 | PBE-GGA | relaxed

Results
- total energy after the MP2020 corrections (eV per atom) = -7.691

Structure (CIF):
```
data_La3As2ClO7
_chemical_formula_sum 'La12 As8 Cl4 O28'
_symmetry_space_group_name_H-M 'P 42/m n m'
_symmetry_Int_Tables_number 136
_symmetry_space_group_name_Hall '-P 4n 2n'
_cell_length_a 13.096
_cell_length_b 13.096
_cell_length_c 5.645
_cell_angle_alpha 90.00
_cell_angle_beta 90.00
_cell_angle_gamma 90.00
loop_
_atom_site_label
_atom_site_fract_x
_atom_site_fract_y
_atom_site_fract_z
La1 0.052 0.363 0.000
La2 0.231 0.769 0.000
As1 0.020 0.791 0.500
Cl1 0.167 0.167 0.000
O1 0.000 0.500 0.250
O2 0.085 0.723 0.262
O3 0.089 0.291 0.500
```

=====

Th2Te2As | PBE-GGA | relaxed

Structure (CIF):
```
data_Th2Te2As
_chemical_formula_sum 'Th2 Te2 As1'
_symmetry_space_group_name_H-M 'P 4/m m m'
_symmetry_Int_Tables_number 123
_symmetry_space_group_name_Hall '-P 4 2'
_cell_length_a 3.256
_cell_length_b 3.256
_cell_length_c 16.335
_cell_angle_alpha 90.00
_cell_angle_beta 90.00
_cell_angle_gamma 90.00
loop_
_atom_site_label
_atom_site_fract_x
_atom_site_fract_y
_atom_site_fract_z
Th1 0.000 0.000 0.175
Te1 0.000 0.000 0.363
As1 0.000 0.000 0.000
```

=====

Sr2SiO4 | PBE-GGA | relaxed

Results
- total energy after the MP2020 corrections (eV per atom) = -7.508

Structure (CIF):
```
data_Sr2SiO4
_chemical_formula_sum 'Sr8 Si4 O16'
_symmetry_space_group_name_H-M 'P 1 21/c 1'
_symmetry_Int_Tables_number 14
_cell_length_a 5.758
_cell_length_b 7.165
_cell_length_c 11.121
_cell_angle_alpha 90.00
_cell_angle_beta 117.74
_cell_angle_gamma 90.00
loop_
_symmetry_equiv_pos_as_xyz
'x,y,z'
'-x,-y,-z'
'-x,y+1/2,-z+1/2'
'x,-y+1/2,z+1/2'
loop_
_atom_site_label
_atom_site_fract_x
_atom_site_fract_y
_atom_site_fract_z
Sr1 0.028 0.001 0.302
Sr2 0.311 0.660 0.575
Si1 0.341 0.221 0.582
O1 0.154 0.176 0.140
O2 0.251 0.181 0.930
O3 0.286 0.504 0.068
O4 0.345 0.736 0.319
```

=====

Mg2Si | PBE-GGA | relaxed

Results
- total energy after the MP2020 corrections (eV per atom) = -2.805

Structure (CIF):
```
data_Mg2Si
_chemical_formula_sum 'Mg8 Si4'
_symmetry_space_group_name_H-M 'P 1'
_symmetry_Int_Tables_number 1
_cell_length_a 5.594
_cell_length_b 6.541
_cell_length_c 7.187
_cell_angle_alpha 99.29
_cell_angle_beta 101.40
_cell_angle_gamma 103.46
loop_
_symmetry_equiv_pos_as_xyz
'x,y,z'
loop_
_atom_site_label
_atom_site_fract_x
_atom_site_fract_y
_atom_site_fract_z
Mg1 0.000 0.000 0.000
Mg2 0.038 0.855 0.379
Mg3 0.200 0.274 0.720
Mg4 0.297 0.759 0.775
Mg5 0.482 0.561 0.152
Mg6 0.645 0.010 0.565
Mg7 0.706 0.555 0.643
Mg8 0.948 0.362 0.331
Si1 0.380 0.228 0.353
Si2 0.550 0.000 0.146
Si3 0.654 0.243 0.920
Si4 0.993 0.577 0.023
```

=====

Na3LaTa3Si3P3O24 | PBE-GGA | relaxed

Results
- total energy after the MP2020 corrections (eV per atom) = -8.378

Structure (CIF):
```
data_Na3LaTa3Si3P3O24
_chemical_formula_sum 'Na9 La3 Ta9 Si9 P9 O72'
_symmetry_space_group_name_H-M 'P 1'
_symmetry_Int_Tables_number 1
_cell_length_a 9.018
_cell_length_b 9.020
_cell_length_c 22.953
_cell_angle_alpha 90.03
_cell_angle_beta 90.01
_cell_angle_gamma 119.74
loop_
_symmetry_equiv_pos_as_xyz
'x,y,z'
loop_
_atom_site_label
_atom_site_fract_x
_atom_site_fract_y
_atom_site_fract_z
Na1 0.000 0.000 0.000
Na2 0.003 0.363 0.251
Na3 0.009 0.009 0.498
Na4 0.334 0.303 0.083
Na5 0.346 0.670 0.833
Na6 0.351 0.687 0.336
Na7 0.658 0.647 0.253
Na8 0.665 0.328 0.167
Na9 0.678 0.342 0.666
La1 0.007 0.000 0.139
La2 0.661 0.339 0.330
La3 0.675 0.346 0.811
Ta1 0.009 0.009 0.639
Ta2 0.013 0.012 0.854
Ta3 0.015 0.013 0.354
Ta4 0.342 0.676 0.978
Ta5 0.343 0.678 0.183
Ta6 0.344 0.677 0.685
Ta7 0.345 0.674 0.486
Ta8 0.677 0.342 0.018
Ta9 0.679 0.349 0.520
Si1 0.050 0.401 0.079
Si2 0.053 0.672 0.584
Si3 0.309 0.313 0.246
Si4 0.348 0.388 0.584
Si5 0.362 0.972 0.078
Si6 0.379 0.345 0.916
Si7 0.625 0.665 0.078
Si8 0.630 0.969 0.584
Si9 0.677 0.653 0.416
P1 0.023 0.718 0.253
P2 0.028 0.298 0.745
P3 0.280 0.992 0.745
P4 0.370 0.034 0.420
P5 0.679 0.045 0.916
P6 0.711 0.002 0.251
P7 0.723 0.739 0.745
P8 0.975 0.643 0.916
P9 0.983 0.345 0.417
O1 0.023 0.191 0.692
O2 0.025 0.837 0.592
O3 0.035 0.202 0.802
O4 0.036 0.837 0.306
O5 0.046 0.223 0.076
O6 0.145 0.512 0.141
O7 0.147 0.643 0.641
O8 0.160 0.495 0.432
O9 0.160 0.686 0.928
O10 0.167 0.513 0.026
O11 0.175 0.701 0.529
O12 0.176 0.982 0.802
O13 0.177 0.197 0.303
O14 0.179 0.997 0.692
O15 0.182 0.196 0.591
O16 0.190 0.165 0.906
O17 0.194 0.476 0.743
O18 0.195 0.032 0.413
O19 0.197 0.722 0.247
O20 0.208 0.010 0.074
O21 0.234 0.222 0.185
O22 0.293 0.825 0.743
O23 0.306 0.499 0.245
O24 0.316 0.480 0.529
O25 0.333 0.852 0.435
O26 0.335 0.498 0.926
O27 0.354 0.859 0.023
O28 0.372 0.872 0.139
O29 0.378 0.513 0.641
O30 0.456 0.150 0.744
O31 0.458 0.073 0.361
O32 0.476 0.167 0.468
O33 0.480 0.315 0.971
O34 0.485 0.388 0.857
O35 0.505 0.356 0.252
O36 0.506 0.874 0.641
O37 0.508 0.662 0.025
O38 0.512 0.647 0.140
O39 0.515 0.679 0.432
O40 0.517 0.369 0.572
O41 0.532 0.862 0.928
O42 0.536 0.842 0.530
O43 0.538 0.830 0.248
O44 0.540 0.158 0.073
O45 0.543 0.726 0.742
O46 0.628 0.483 0.074
O47 0.634 0.568 0.353
O48 0.639 0.105 0.860
O49 0.651 0.158 0.571
O50 0.690 0.158 0.259
O51 0.699 0.529 0.466
O52 0.707 0.564 0.742
O53 0.710 0.171 0.968
O54 0.809 0.826 0.072
O55 0.812 0.030 0.196
O56 0.814 0.982 0.305
O57 0.815 0.841 0.802
O58 0.822 0.994 0.591
O59 0.829 0.842 0.692
O60 0.847 0.033 0.908
O61 0.849 0.316 0.466
O62 0.851 0.546 0.968
O63 0.856 0.839 0.411
O64 0.864 0.389 0.073
O65 0.864 0.503 0.571
O66 0.869 0.316 0.743
O67 0.881 0.534 0.262
O68 0.919 0.542 0.860
O69 0.934 0.382 0.358
O70 0.975 0.780 0.199
O71 0.981 0.820 0.907
O72 0.996 0.177 0.412
```

=====

PrHfO4 | PBE-GGA | relaxed

Results
- total energy after the MP2020 corrections (eV per atom) = -9.231

Structure (CIF):
```
data_PrHfO4
_chemical_formula_sum 'Pr16 Hf16 O64'
_symmetry_space_group_name_H-M 'P 21 3'
_symmetry_Int_Tables_number 198
_symmetry_space_group_name_Hall 'P 2ac 2ab 3'
_cell_length_a 10.827
_cell_length_b 10.827
_cell_length_c 10.827
_cell_angle_alpha 90.00
_cell_angle_beta 90.00
_cell_angle_gamma 90.00
loop_
_atom_site_label
_atom_site_fract_x
_atom_site_fract_y
_atom_site_fract_z
Pr1 0.123 0.376 0.877
Pr2 0.125 0.875 0.375
Hf1 0.116 0.880 0.882
Hf2 0.123 0.123 0.123
O1 0.001 0.004 0.218
O2 0.001 0.270 0.501
O3 0.003 0.997 0.497
O4 0.010 0.490 0.510
O5 0.035 0.256 0.251
O6 0.040 0.749 0.749
O7 0.243 0.243 0.243
O8 0.249 0.251 0.749
```

=====

Ordered total DFT energy (no corrections) results: -380.7 -24.8 -199.2 -33.9 -880.4 -842.2; unit eV/cell.
Ordered formation enthalpy at 0 K results: -3.029 0.200 -3.423 0.070 -3.087 -3.476; unit eV/atom.